HfMo2O8 after structural relaxation. Source: the Materials Project, functional PBE+U.

Structure (POSCAR):
```
HfMo2O8
1.0
3.601 -2.703 -10.299
4.137 -5.201 8.305
-8.433 -5.615 -2.934
O Mo Hf
48 12 6
Cartesian
2.749 -4.201 4.789 O
0.059 -3.225 2.350 O
1.132 -2.960 -0.397 O
-0.295 -9.119 -0.282 O
-0.581 -11.700 -1.790 O
-2.234 -10.407 1.210 O
2.698 -8.213 -1.123 O
-1.097 -7.587 -4.426 O
1.540 -3.112 -6.138 O
3.823 -5.282 -4.952 O
-2.617 -9.743 -1.885 O
3.778 -6.060 2.722 O
0.208 -5.108 4.112 O
-5.093 -6.947 -2.039 O
-4.517 -8.238 0.024 O
-3.443 -9.319 -9.716 O
-1.852 -4.720 0.992 O
4.399 -6.572 -2.888 O
-0.113 -1.820 -3.138 O
-1.826 -10.560 -4.531 O
-0.902 -8.411 -9.040 O
-1.048 -8.894 3.373 O
0.644 -11.498 -5.318 O
2.776 -8.092 1.624 O
-2.220 -7.013 -1.706 O
-0.399 -4.400 -4.646 O
-1.338 -2.021 0.391 O
-2.323 -5.814 -9.084 O
-3.470 -5.428 -6.552 O
1.343 -6.067 6.355 O
-0.831 -4.049 -1.876 O
-3.468 -8.337 -4.040 O
0.137 -9.470 -3.051 O
-0.753 -10.295 -7.277 O
0.354 -4.625 -8.301 O
-5.522 -6.610 -4.645 O
0.403 -5.933 -0.502 O
-2.037 -7.452 -11.283 O
-4.472 -7.459 -7.650 O
2.774 -5.182 -0.888 O
1.227 -6.193 -6.560 O
-1.921 -7.326 1.632 O
-3.392 -5.306 -3.805 O
1.158 -8.799 -5.920 O
4.828 -6.909 -0.283 O
1.526 -6.506 -3.222 O
1.923 -3.776 -3.043 O
1.629 -7.705 4.156 O
-2.701 -7.554 3.462 Mo
-5.409 -6.446 0.007 Mo
0.196 -10.990 -0.234 Mo
2.007 -5.965 -8.390 Mo
4.715 -7.074 -4.934 Mo
2.906 -6.680 -1.934 Mo
-5.087 -5.290 -5.702 Mo
-3.601 -6.839 -2.994 Mo
-0.890 -2.529 -4.694 Mo
0.978 -4.305 -1.439 Mo
4.393 -8.230 0.774 Mo
-1.672 -9.215 -3.489 Mo
-1.374 -2.090 -1.529 Hf
-3.682 -9.970 -0.164 Hf
0.680 -11.429 -3.399 Hf
0.319 -6.295 -4.857 Hf
-1.013 -7.225 -0.071 Hf
2.988 -3.549 -4.764 Hf
```

Space group ... C2/c
Calculated volume ... 16.2 Å³ per atom
E_tot ... -7.6265 eV/atom
Energy of formation from the pure elements ... -2.233 eV/atom


HfMo2O8 after structural relaxation. Source: the Materials Project, functional PBE+U.

Structure (POSCAR):
```
HfMo2O8
1.0
5.118 -8.865 0.000
5.118 8.865 0.000
0.000 0.000 12.063
Mo O Hf
12 48 6
Cartesian
1.770 -2.932 10.292 Mo
6.812 -0.067 10.292 Mo
3.464 5.866 1.771 Mo
6.772 -5.866 10.292 Mo
6.812 0.067 4.261 Mo
3.464 -5.866 7.802 Mo
8.466 -2.932 7.802 Mo
6.772 5.866 4.261 Mo
1.770 2.932 4.261 Mo
3.424 -0.067 7.802 Mo
3.424 0.067 1.771 Mo
8.466 2.932 1.771 Mo
5.929 -1.439 11.101 O
1.948 -2.853 8.569 O
5.992 -1.504 4.642 O
9.345 -1.455 1.181 O
5.938 -4.437 4.642 O
5.932 -7.365 4.850 O
4.298 -4.437 1.390 O
3.621 -5.751 9.526 O
6.811 -2.924 1.390 O
3.621 5.751 3.494 O
5.992 1.504 10.674 O
9.345 1.455 7.213 O
6.615 5.751 2.537 O
5.938 4.437 10.674 O
4.211 -4.415 6.994 O
3.445 0.260 3.494 O
6.836 3.010 0.963 O
6.791 -0.260 8.569 O
4.304 -7.365 1.181 O
4.244 -1.504 1.390 O
4.244 1.504 7.421 O
0.891 1.455 10.882 O
3.425 2.924 10.674 O
1.948 2.853 2.537 O
3.400 -3.010 11.101 O
1.706 0.045 7.213 O
6.791 0.260 2.537 O
4.211 4.415 0.963 O
4.304 7.365 7.213 O
3.445 -0.260 9.526 O
6.811 2.924 7.421 O
5.932 7.365 10.882 O
3.400 3.010 5.069 O
4.298 4.437 7.421 O
6.836 -3.010 6.994 O
0.891 -1.455 4.850 O
8.288 2.853 3.494 O
1.706 -0.045 1.181 O
4.307 -1.439 6.994 O
8.530 -0.045 4.850 O
4.307 1.439 0.963 O
5.929 1.439 5.069 O
8.288 -2.853 9.526 O
6.025 4.415 5.069 O
8.530 0.045 10.882 O
6.025 -4.415 11.101 O
3.425 -2.924 4.642 O
6.615 -5.751 8.569 O
0.000 0.000 6.032 Hf
5.118 2.955 6.223 Hf
5.118 -2.955 5.840 Hf
5.118 2.955 11.872 Hf
5.118 -2.955 0.191 Hf
0.000 0.000 0.000 Hf
```

Space group ... P-31c
Calculated volume ... 16.6 Å³ per atom
E_tot ... -7.9136 eV/atom
Energy of formation from the pure elements ... -2.520 eV/atom